# NbNO PBE optimized geometry
data_NbNO
_space_group_name_H-M_alt 'P 1'
_space_group_IT_number 1
_space_group_name_Hall 'P 1'
_cell_length_a 5.037
_cell_length_b 5.263
_cell_length_c 10.234
_cell_angle_alpha 89.76
_cell_angle_beta 89.98
_cell_angle_gamma 80.13
loop_
_atom_site_label
_atom_site_type_symbol
_atom_site_fract_x
_atom_site_fract_y
_atom_site_fract_z
Nb1 Nb 0.000 0.000 0.000
Nb2 Nb 0.000 0.492 0.296
Nb3 Nb 0.406 0.932 0.249
Nb4 Nb 0.408 0.434 0.047
Nb5 Nb 0.412 0.925 0.748
Nb6 Nb 0.419 0.440 0.552
Nb7 Nb 0.986 0.506 0.798
Nb8 Nb 0.990 0.991 0.493
N1 N 0.137 0.743 0.644
N2 N 0.143 0.737 0.146
N3 N 0.145 0.237 0.149
N4 N 0.255 0.187 0.394
N5 N 0.258 0.198 0.890
N6 N 0.260 0.690 0.400
N7 N 0.261 0.698 0.903
N8 N 0.640 0.556 0.688
O1 O 0.141 0.238 0.649
O2 O 0.631 0.057 0.607
O3 O 0.637 0.555 0.189
O4 O 0.638 0.056 0.108
O5 O 0.764 0.867 0.358
O6 O 0.766 0.874 0.861
O7 O 0.767 0.370 0.437
O8 O 0.767 0.376 0.941
# Final energy: -0.6907 Ry per atom
# Energy above the lowest structure with this stoichiometry: 25 meV per atom
# Energy of formation: -1.83 eV/atom
# Magnetization: 0.0 μB/f.u.

# SbH2CO4F6 PBE optimized geometry
data_SbH2CO4F6
_space_group_name_H-M_alt 'C 1 2/c 1'
_space_group_IT_number 15
_space_group_name_Hall '-C 2yc'
_cell_length_a 14.105
_cell_length_b 9.009
_cell_length_c 13.311
_cell_angle_alpha 90.00
_cell_angle_beta 108.27
_cell_angle_gamma 90.00
loop_
_atom_site_label
_atom_site_type_symbol
_atom_site_fract_x
_atom_site_fract_y
_atom_site_fract_z
Sb1 Sb 0.220 0.025 0.361
H1 H 0.020 0.249 0.096
H2 H 0.063 0.114 0.659
C1 C 0.003 0.085 0.500
O1 O 0.005 0.457 0.368
O2 O 0.029 0.140 0.093
O3 O 0.033 0.162 0.583
O4 O 0.073 0.460 0.864
F1 F 0.105 0.091 0.768
F2 F 0.137 0.197 0.322
F3 F 0.163 0.008 0.973
F4 F 0.173 0.362 0.549
F5 F 0.208 0.344 0.099
F6 F 0.234 0.454 0.758
# Final energy: -0.3783 Ry per atom
# Energy of formation: -1.87 eV/atom
# Magnetization: 2.0 μB/f.u.

# Mo2NCl7 PBE optimized geometry
data_Mo2NCl7
_space_group_name_H-M_alt 'P -1'
_space_group_IT_number 2
_space_group_name_Hall '-P 1'
_cell_length_a 9.490
_cell_length_b 10.172
_cell_length_c 13.725
_cell_angle_alpha 102.00
_cell_angle_beta 107.77
_cell_angle_gamma 102.24
loop_
_atom_site_label
_atom_site_type_symbol
_atom_site_fract_x
_atom_site_fract_y
_atom_site_fract_z
Mo1 Mo 0.031 0.391 0.231
Mo2 Mo 0.115 0.900 0.817
Mo3 Mo 0.347 0.072 0.679
Mo4 Mo 0.438 0.562 0.269
N1 N 0.244 0.996 0.747
N2 N 0.247 0.487 0.247
Cl1 Cl 0.000 0.077 0.813
Cl2 Cl 0.065 0.207 0.103
Cl3 Cl 0.072 0.565 0.382
Cl4 Cl 0.082 0.513 0.897
Cl5 Cl 0.106 0.244 0.352
Cl6 Cl 0.185 0.958 0.508
Cl7 Cl 0.229 0.715 0.768
Cl8 Cl 0.255 0.274 0.690
Cl9 Cl 0.302 0.991 0.984
Cl10 Cl 0.422 0.744 0.167
Cl11 Cl 0.448 0.550 0.617
Cl12 Cl 0.450 0.430 0.116
Cl13 Cl 0.473 0.765 0.409
Cl14 Cl 0.479 0.056 0.310
# Final energy: -0.3724 Ry per atom
# Energy of formation: -1.20 eV/atom

# ScGaPd PBE optimized geometry
data_ScGaPd
_space_group_name_H-M_alt 'P n m a'
_space_group_IT_number 62
_space_group_name_Hall '-P 2ac 2n'
_cell_length_a 6.468
_cell_length_b 4.298
_cell_length_c 7.662
_cell_angle_alpha 90.00
_cell_angle_beta 90.00
_cell_angle_gamma 90.00
loop_
_atom_site_label
_atom_site_type_symbol
_atom_site_fract_x
_atom_site_fract_y
_atom_site_fract_z
Sc1 Sc 0.018 0.250 0.201
Ga1 Ga 0.225 0.750 0.391
Pd1 Pd 0.175 0.250 0.566
# Final energy: -0.4172 Ry per atom
# Energy of formation: -0.83 eV/atom

> Number 3 is which compound?

Mo2NCl7

> Number 2 is which compound?

SbH2CO4F6

> What is the formula in the fourth record?

ScGaPd

> What is the formula in the second record?

SbH2CO4F6